DySiRu2C, optimized geometry, DFT PBE; final energy = -81.8 eV per cell; formation energy = -0.616 eV per atom; volume = 15.19 Å³ per atom; space-group type = Cmcm (63)
1.0
1.905 -5.568 0.000
1.905 5.568 0.000
0.000 0.000 7.162
Dy Si Ru C
2 2 4 2
Direct
0.952 0.048 0.750
0.048 0.952 0.250
0.769 0.231 0.250
0.231 0.769 0.750
0.664 0.336 0.943
0.664 0.336 0.557
0.336 0.664 0.057
0.336 0.664 0.443
0.500 0.500 0.000
0.500 0.500 0.500